No. 1
DFT (PBE) results for an optimized crystal structure of LaMg16Al12.

```
29
Lattice="-5.2944 5.2944 5.2944 5.2944 -5.2944 5.2944 5.2944 5.2944 -5.2944" Properties=species:S:1:pos:R:3 pbc="T T T"
La 0.0000 0.0000 0.0000
Mg 3.3644 3.3644 -3.3644
Mg 0.4135 6.7888 3.8000
Mg 3.3644 -3.3644 3.3644
Mg 0.4135 3.8000 6.7888
Mg 4.8809 1.4944 1.4944
Mg 3.8000 3.8000 -0.4135
Mg 3.8000 -0.4135 3.8000
Mg 1.9300 1.9300 1.9300
Mg 1.4944 5.7079 -1.4944
Mg 1.4944 -1.4944 5.7079
Mg 1.4944 4.8809 1.4944
Mg 1.4944 1.4944 4.8809
Mg -3.3644 3.3644 3.3644
Mg 3.8000 0.4135 6.7888
Mg 3.8000 6.7888 0.4135
Mg -0.4135 3.8000 3.8000
Al 2.9618 0.9719 -0.9719
Al 2.9618 -0.9719 0.9719
Al 7.6270 0.9719 0.9719
Al 0.9719 2.9618 -0.9719
Al 0.9719 -0.9719 2.9618
Al -0.9719 2.9618 0.9719
Al -0.9719 0.9719 2.9618
Al 4.3225 4.3225 2.3326
Al 4.3225 2.3326 4.3225
Al 0.9719 7.6270 0.9719
Al 0.9719 0.9719 7.6270
Al 2.3326 4.3225 4.3225
```

Calculated values
As for the energy relative to the lowest polymorph listed for this composition: 0.000 eV/atom. The symmetry is I-43m, No. 217. The calculation puts the spin magnetization at 0.00 μB/f.u. The calculation puts the total energy at -2.671 eV/atom. The value obtained for the energy relative to the elements is -0.07 eV/atom.



No. 2
DFT (PBE) results for an optimized crystal structure of TiIn.

```
2
Lattice="3.0091 0.0000 0.0000 0.0000 3.0091 0.0000 0.0000 0.0000 4.2566" Properties=species:S:1:pos:R:3 pbc="T T T"
Ti 0.0000 0.0000 0.0000
In 1.5045 1.5045 2.1283
```

Calculated values
The symmetry is P4/mmm, No. 123. The calculation puts the total energy at -5.467 eV/atom. The value obtained for the energy relative to the elements is -0.14 eV/atom.



No. 3
DFT (PBE) results for an optimized crystal structure of SiO2.

```
48
Lattice="4.3812 -10.0980 0.0000 4.3812 10.0980 0.0000 0.0000 0.0000 10.2248" Properties=species:S:1:pos:R:3 pbc="T T T"
Si 2.7689 6.0823 6.2046
Si 2.7689 4.0158 1.0921
Si 1.5960 1.1127 1.1340
Si 1.5960 -1.1127 9.0908
Si 2.7852 1.1127 3.9784
Si 2.7853 -1.1127 6.2465
Si 5.9935 6.0823 6.2046
Si 5.9935 4.0158 1.0921
Si 2.7689 -4.0158 9.1327
Si 2.7689 -6.0823 4.0203
Si 5.9772 1.1127 3.9784
Si 5.9772 -1.1127 6.2465
Si 7.1665 1.1127 1.1340
Si 7.1665 -1.1127 9.0908
Si 5.9935 -4.0158 9.1327
Si 5.9935 -6.0823 4.0203
O 2.1906 5.0490 0.0000
O 2.1906 5.0490 5.1124
O 2.1906 4.4230 2.5562
O 4.3812 8.7272 8.9349
O 2.0672 2.5034 4.4172
O 2.3141 2.5034 0.6952
O 4.3812 5.9972 6.2245
O 1.8923 0.0000 0.0000
O 2.1906 0.5842 2.5562
O 2.1906 -0.5842 7.6686
O 2.4890 0.0000 5.1124
O 4.3812 4.1008 1.1121
O 2.0672 -2.5034 5.8076
O 2.3141 -2.5034 9.5296
O 4.3812 1.3709 3.8225
O 2.1906 -4.4230 7.6686
O 2.1906 -5.0490 0.0000
O 2.1906 -5.0490 5.1124
O 6.5719 4.4230 2.5562
O 4.3812 -1.3709 6.4024
O 6.4484 2.5034 0.6952
O 6.6953 2.5034 4.4172
O 4.3812 -4.1008 9.1127
O 6.2735 0.0000 5.1124
O 6.5719 0.5842 2.5562
O 6.5719 -0.5842 7.6686
O 6.8702 0.0000 0.0000
O 4.3812 -5.9972 4.0003
O 6.4484 -2.5034 9.5296
O 6.6953 -2.5034 5.8076
O 4.3812 -8.7272 1.2899
O 6.5719 -4.4230 7.6686
```

Calculated values
The symmetry is Cmce, No. 64. The calculation puts the total energy at -7.903 eV/atom. The value obtained for the energy relative to the elements is -3.25 eV/atom.



No. 4
DFT (PBE) results for an optimized crystal structure of Na3AlN2.

```
24
Lattice="6.4927 0.0000 0.0000 0.0000 8.4841 0.0000 -3.9785 0.0000 7.6278" Properties=species:S:1:pos:R:3 pbc="T T T"
Na 0.1034 0.0369 2.8921
Na -1.8858 4.2052 6.7061
Na -1.0995 1.7201 5.2263
Na 0.8897 2.5220 1.4124
Na -0.3848 4.2513 3.8551
Na 1.6045 8.4749 0.0412
Na 0.9098 0.0092 7.5867
Na 2.8991 4.2329 3.7727
Na 1.6245 5.9622 6.2154
Na 3.6138 6.7641 2.4015
Na 4.4001 4.2789 0.9218
Na 2.4109 8.4473 4.7357
Al 0.7493 5.7876 1.4085
Al -1.2400 6.9386 5.2224
Al 3.7542 1.5455 2.4054
Al 1.7650 2.6965 6.2193
N -3.2501 1.7832 6.4487
N -1.2608 2.4589 2.6348
N 2.1083 4.6980 1.6004
N 0.1191 8.0282 5.4143
N 2.3952 0.4559 2.2135
N 0.4060 3.7862 6.0274
N 3.7751 6.0252 4.9930
N 5.7643 6.7010 1.1791
```

Calculated values
As for the energy relative to the lowest polymorph listed for this composition: 0.122 eV/atom. The symmetry is P2_1/c, No. 14. The calculation puts the spin magnetization at 0.00 μB/f.u. The calculation puts the total energy at -4.140 eV/atom. The value obtained for the energy relative to the elements is -0.20 eV/atom.